(1)
## Mg7As6H4O24 (PBE-GGA)

Data for a relaxed structure of Mg7As6H4O24.

Cell: 6.8348 8.4479 9.6635 Å, 73.01 72.04 82.56°
Last column: nearest neighbours and their distance in Å.
Atoms (fractional coordinates):
Mg1 0.0000 0.0000 0.0000  4 O 2.16-2.17
Mg2 0.7182 0.4559 0.8886  6 O 2.07-2.19
Mg3 0.2818 0.5441 0.1114  6 O 2.07-2.19
Mg4 0.0043 0.2069 0.2801  5 O 2.00-2.20
Mg5 0.9957 0.7931 0.7199  5 O 2.00-2.20
Mg6 0.6142 0.3138 0.5173  5 O 2.05-2.12
Mg7 0.3858 0.6862 0.4827  5 O 2.05-2.12
As1 0.5421 0.1993 0.2111  4 O 1.70-1.81
As2 0.4579 0.8007 0.7889  4 O 1.70-1.81
As3 0.7597 0.5789 0.1806  4 O 1.72-1.73
As4 0.2403 0.4211 0.8194  4 O 1.72-1.73
As5 0.0078 0.2043 0.6431  3 O 1.76-1.95
As6 0.9922 0.7957 0.3569  3 O 1.76-1.95
H1 0.3290 0.1573 0.7610  1 O 1.05
H2 0.6710 0.8427 0.2390  1 O 1.05
H3 0.3136 0.7896 0.1786  1 O 0.99
H4 0.6864 0.2104 0.8214  1 O 0.99
O1 0.6669 0.2173 0.3324  1 As 1.70
O2 0.3331 0.7827 0.6676  1 As 1.70
O3 0.7156 0.2043 0.0381  1 As 1.72
O4 0.2844 0.7957 0.9619  1 As 1.72
O5 0.6967 0.7038 0.7739  1 As 1.71
O6 0.3033 0.2962 0.2261  1 As 1.71
O7 0.5682 0.0029 0.7215  1 O 1.47
O8 0.4318 0.9971 0.2785  1 O 1.47
O9 0.6095 0.5246 0.0891  1 As 1.72
O10 0.3905 0.4754 0.9109  1 As 1.72
O11 0.6272 0.5447 0.3696  1 As 1.73
O12 0.3728 0.4553 0.6304  1 As 1.73
O13 0.8079 0.7877 0.1091  1 H 1.47
O14 0.1921 0.2123 0.8909  1 H 1.47
O15 0.0134 0.5376 0.8330  1 As 1.72
O16 0.9866 0.4624 0.1670  1 As 1.72
O17 0.9030 0.1987 0.4994  1 As 1.76
O18 0.0970 0.8013 0.5006  1 As 1.76
O19 0.7507 0.3068 0.7405  1 H 0.99
O20 0.2493 0.6932 0.2595  1 H 0.99
O21 0.4220 0.1265 0.6626  1 H 1.05
O22 0.5780 0.8735 0.3374  1 H 1.05
O23 0.0329 0.9928 0.2166  1 As 1.80
O24 0.9671 0.0072 0.7834  1 As 1.80

(2)
## RbMgAsH12O10 (PBE-GGA)

Data for a relaxed structure of RbMgAsH12O10.

Cell: 6.2583 7.0803 11.5219 Å, 90.00 90.00 90.00°
Last column: nearest neighbours and their distance in Å.
Atoms (fractional coordinates):
Rb1 0.6435 0.0000 0.7381  5 O 2.97-3.18, 4 H 3.23-3.29
Rb2 0.3565 0.5000 0.2381  5 O 2.97-3.18, 4 H 3.23-3.29
Mg1 0.6130 0.0000 0.3877  6 O 2.10-2.16
Mg2 0.3870 0.5000 0.8877  6 O 2.10-2.16
As1 0.9773 0.5000 0.5187  4 O 1.72-1.73
As2 0.0227 0.0000 0.0187  4 O 1.72-1.73
H1 0.6452 0.2589 0.0192  1 O 1.00
H2 0.8093 0.3196 0.3157  1 O 1.01
H3 0.7201 0.5000 0.7243  1 O 1.01
H4 0.4073 0.8202 0.0332  1 O 1.01
H5 0.1907 0.8196 0.8157  1 O 1.01
H6 0.3548 0.2411 0.5192  1 O 1.00
H7 0.8333 0.5000 0.8514  1 O 0.98
H8 0.6452 0.7411 0.0192  1 O 1.00
H9 0.4073 0.1798 0.0332  1 O 1.01
H10 0.9894 0.1144 0.5066  1 O 1.01
H11 0.2126 0.6999 0.6989  1 O 1.00
H12 0.1907 0.1804 0.8157  1 O 1.01
H13 0.2126 0.3001 0.6989  1 O 1.00
H14 0.5927 0.6798 0.5332  1 O 1.01
H15 0.8093 0.6804 0.3157  1 O 1.01
H16 0.0106 0.3856 0.0066  1 O 1.01
H17 0.9894 0.8856 0.5066  1 O 1.01
H18 0.3548 0.7589 0.5192  1 O 1.00
H19 0.2799 0.0000 0.2243  1 O 1.01
H20 0.7874 0.8001 0.1989  1 O 1.00
H21 0.1667 0.0000 0.3514  1 O 0.98
H22 0.5927 0.3202 0.5332  1 O 1.01
H23 0.0106 0.6144 0.0066  1 O 1.01
H24 0.7874 0.1999 0.1989  1 O 1.00
O1 0.9495 0.5000 0.3703  2 H 1.67, 1 As 1.72
O2 0.7268 0.5000 0.5832  3 H 1.63, 1 As 1.73
O3 0.4916 0.2922 0.0048  2 H 1.00-1.01
O4 0.2732 0.0000 0.0832  3 H 1.63, 1 As 1.73
O5 0.5084 0.7922 0.5048  2 H 1.00-1.01
O6 0.2804 0.2808 0.7770  2 H 1.00-1.01
O7 0.8908 0.7989 0.0640  3 H 1.64-1.68, 1 As 1.73
O8 0.8908 0.2011 0.0640  3 H 1.64-1.68, 1 As 1.73
O9 0.1092 0.2989 0.5640  3 H 1.64-1.68, 1 As 1.73
O10 0.0505 0.0000 0.8703  2 H 1.67, 1 As 1.72
O11 0.2804 0.7192 0.7770  2 H 1.00-1.01
O12 0.9268 0.0000 0.4665  2 H 1.01
O13 0.6948 0.5000 0.8110  2 H 0.98-1.01
O14 0.4916 0.7078 0.0048  2 H 1.00-1.01
O15 0.0732 0.5000 0.9665  2 H 1.01
O16 0.1092 0.7011 0.5640  3 H 1.64-1.68, 1 As 1.73
O17 0.7196 0.2192 0.2770  2 H 1.00-1.01
O18 0.5084 0.2078 0.5048  2 H 1.00-1.01
O19 0.3052 0.0000 0.3110  2 H 0.98-1.01
O20 0.7196 0.7808 0.2770  2 H 1.00-1.01

(3)
## MgTlAsH12O10 (PBE-GGA)

Data for a relaxed structure of MgTlAsH12O10.

Cell: 6.2579 7.0597 11.4479 Å, 90.00 90.00 90.00°
Last column: nearest neighbours and their distance in Å.
Atoms (fractional coordinates):
Mg1 0.3796 0.5000 0.8803  6 O 2.10-2.17
Mg2 0.6204 0.0000 0.3803  6 O 2.10-2.17
Tl1 0.3695 0.5000 0.2231  5 O 2.98-3.00, 4 H 3.20-3.22
Tl2 0.6305 0.0000 0.7231  5 O 2.98-3.00, 4 H 3.20-3.22
As1 0.9937 0.5000 0.5086  4 O 1.72-1.73
As2 0.0063 0.0000 0.0086  4 O 1.72-1.73
H1 0.6106 0.6798 0.5260  1 O 1.01
H2 0.9998 0.1143 0.4990  1 O 1.01
H3 0.1829 0.1777 0.8075  1 O 1.01
H4 0.3894 0.1798 0.0260  1 O 1.01
H5 0.2164 0.2956 0.6896  1 O 1.01
H6 0.2164 0.7044 0.6896  1 O 1.01
H7 0.7836 0.7956 0.1896  1 O 1.01
H8 0.6300 0.7445 0.0127  1 O 1.01
H9 0.2792 0.0000 0.2176  1 O 1.01
H10 0.8171 0.3223 0.3075  1 O 1.01
H11 0.7836 0.2044 0.1896  1 O 1.01
H12 0.0002 0.6143 0.9990  1 O 1.01
H13 0.6106 0.3202 0.5260  1 O 1.01
H14 0.1829 0.8223 0.8075  1 O 1.01
H15 0.1749 0.0000 0.3466  1 O 0.99
H16 0.9998 0.8857 0.4990  1 O 1.01
H17 0.8171 0.6777 0.3075  1 O 1.01
H18 0.8251 0.5000 0.8466  1 O 0.99
H19 0.3700 0.2445 0.5127  1 O 1.01
H20 0.6300 0.2555 0.0127  1 O 1.01
H21 0.3894 0.8202 0.0260  1 O 1.01
H22 0.7208 0.5000 0.7176  1 O 1.01
H23 0.0002 0.3857 0.9990  1 O 1.01
H24 0.3700 0.7555 0.5127  1 O 1.01
O1 0.2779 0.2766 0.7702  2 H 1.01
O2 0.5235 0.2061 0.5012  2 H 1.01
O3 0.3118 0.0000 0.3039  2 H 0.99-1.01
O4 0.8739 0.2013 0.0539  3 H 1.64-1.65, 1 As 1.73
O5 0.8739 0.7987 0.0539  3 H 1.64-1.65, 1 As 1.73
O6 0.6882 0.5000 0.8039  2 H 0.99-1.01
O7 0.0358 0.0000 0.8593  2 H 1.67, 1 As 1.72
O8 0.2564 0.0000 0.0736  3 H 1.61-1.65, 1 As 1.73
O9 0.2779 0.7234 0.7702  2 H 1.01
O10 0.9368 0.0000 0.4583  2 H 1.01
O11 0.5235 0.7939 0.5012  2 H 1.01
O12 0.0632 0.5000 0.9583  2 H 1.01
O13 0.7221 0.7766 0.2702  2 H 1.01
O14 0.1261 0.7013 0.5539  3 H 1.64-1.65, 1 As 1.73
O15 0.7221 0.2234 0.2702  2 H 1.01
O16 0.1261 0.2987 0.5539  3 H 1.64-1.65, 1 As 1.73
O17 0.4765 0.2939 0.0012  2 H 1.01
O18 0.9642 0.5000 0.3593  2 H 1.67, 1 As 1.72
O19 0.7436 0.5000 0.5736  3 H 1.61-1.65, 1 As 1.73
O20 0.4765 0.7061 0.0012  2 H 1.01

The records above give, respectively, ΔH_f (0 K) values of -2.043; -1.584; -1.504 eV/atom.
The records above give, respectively, density values of 3.299; 2.321; 3.124 Mg/m³.